Entry 1:
{"formula": "Sr5Mg", "functional": "GGA-PBE", "state": "optimized geometry", "lattice": [[-3.074, -0.103, -2.971], [1.301, -3.626, 1.857], [-13.240, 2.223, 13.622]], "species": ["Sr", "Sr", "Sr", "Sr", "Sr", "Mg"], "frac_coords": [[0.333, 0.667, 0.866], [0.000, 0.000, 0.682], [0.333, 0.667, 0.500], [0.000, 0.000, 0.318], [0.333, 0.667, 0.134], [0.000, 0.000, 0.000]], "polymorph_energy_mev_per_atom": 35.3, "magnetic_moment_mub_per_cell": 0.1, "e_form_ev_per_atom": 0.065}

Entry 2:
{"formula": "Rb2TaCuSe4", "functional": "GGA-PBE", "state": "optimized geometry", "lattice": [[10.514, -9.943, -0.759], [3.737, -12.194, 2.157], [3.644, -0.768, -6.755]], "species": ["Rb", "Rb", "Rb", "Rb", "Ta", "Ta", "Cu", "Cu", "Se", "Se", "Se", "Se", "Se", "Se", "Se", "Se"], "frac_coords": [[0.560, 0.546, 0.196], [0.190, 0.204, 0.554], [0.450, 0.441, 0.806], [0.798, 0.806, 0.449], [0.369, 0.383, 0.381], [0.632, 0.620, 0.616], [0.875, 0.879, 0.875], [0.117, 0.132, 0.134], [0.765, 0.092, 0.178], [0.471, 0.172, 0.087], [0.176, 0.464, 0.777], [0.087, 0.776, 0.462], [0.906, 0.232, 0.544], [0.832, 0.531, 0.227], [0.543, 0.818, 0.908], [0.220, 0.921, 0.831]], "polymorph_energy_mev_per_atom": 8.4, "corrected_energy_ev_per_atom": -5.18, "magnetic_moment_mub_per_cell": 0.0, "e_form_ev_per_atom": -1.196}

Entry 3:
{"formula": "Mg6NbV", "functional": "GGA-PBE", "state": "optimized geometry", "lattice": [[-3.105, 3.300, -1.692], [-1.412, -3.697, -4.620], [-8.097, -4.503, 6.077]], "species": ["Mg", "Mg", "Mg", "Mg", "Mg", "Mg", "Mg", "Mg", "Mg", "Mg", "Mg", "Mg", "Nb", "Nb", "V", "V"], "frac_coords": [[0.000, 0.740, 0.080], [0.000, 0.260, 0.080], [0.000, 0.000, 0.329], [0.500, 0.259, 0.423], [0.500, 0.741, 0.423], [0.500, 0.000, 0.168], [0.000, 0.240, 0.580], [0.000, 0.760, 0.580], [0.000, 0.500, 0.829], [0.500, 0.759, 0.923], [0.500, 0.241, 0.923], [0.500, 0.500, 0.668], [0.500, 0.500, 0.190], [0.500, 0.000, 0.690], [0.000, 0.500, 0.308], [0.000, 0.000, 0.808]], "polymorph_energy_mev_per_atom": 0.0, "magnetic_moment_mub_per_cell": 3.9, "e_form_ev_per_atom": 0.221}

Entry 4:
{"formula": "HoCo3", "functional": "GGA-PBE", "state": "optimized geometry", "lattice": [[-1.558, 3.492, 7.693], [-5.712, 1.169, 6.311], [-1.953, -1.417, 8.246]], "species": ["Ho", "Ho", "Ho", "Co", "Co", "Co", "Co", "Co", "Co", "Co", "Co", "Co"], "frac_coords": [[0.000, 0.000, 0.000], [0.860, 0.860, 0.860], [0.140, 0.140, 0.140], [0.500, 0.500, 0.500], [0.665, 0.665, 0.665], [0.335, 0.335, 0.335], [0.417, 0.921, 0.417], [0.417, 0.417, 0.921], [0.921, 0.417, 0.417], [0.583, 0.079, 0.583], [0.583, 0.583, 0.079], [0.079, 0.583, 0.583]], "e_form_ev_per_atom": -0.191}

Entry 5:
{"formula": "Cs2PtBr6", "functional": "GGA-PBE", "state": "optimized geometry", "lattice": [[-5.524, -5.524, 0.000], [-5.524, 0.000, -5.524], [0.000, -5.524, -5.524]], "species": ["Cs", "Cs", "Pt", "Br", "Br", "Br", "Br", "Br", "Br"], "frac_coords": [[0.750, 0.750, 0.750], [0.250, 0.250, 0.250], [0.000, 0.000, 0.000], [0.773, 0.227, 0.227], [0.227, 0.773, 0.227], [0.773, 0.227, 0.773], [0.227, 0.773, 0.773], [0.227, 0.227, 0.773], [0.773, 0.773, 0.227]], "corrected_energy_ev_per_atom": -3.38, "e_form_ev_per_atom": -1.412}

Entry 6:
{"formula": "KInP2Se6", "functional": "GGA-PBE", "state": "optimized geometry", "lattice": [[-0.388, -0.868, 6.550], [3.245, -6.997, -0.735], [22.665, 5.421, 2.063]], "species": ["K", "K", "K", "K", "In", "In", "In", "In", "P", "P", "P", "P", "P", "P", "P", "P", "Se", "Se", "Se", "Se", "Se", "Se", "Se", "Se", "Se", "Se", "Se", "Se", "Se", "Se", "Se", "Se", "Se", "Se", "Se", "Se", "Se", "Se", "Se", "Se"], "frac_coords": [[0.513, 0.674, 0.281], [0.487, 0.326, 0.719], [0.013, 0.326, 0.219], [0.987, 0.674, 0.781], [0.251, 0.909, 0.046], [0.749, 0.091, 0.954], [0.751, 0.091, 0.454], [0.249, 0.909, 0.546], [0.756, 0.905, 0.132], [0.244, 0.095, 0.868], [0.256, 0.095, 0.368], [0.744, 0.905, 0.632], [0.748, 0.659, 0.092], [0.252, 0.341, 0.908], [0.248, 0.341, 0.408], [0.752, 0.659, 0.592], [0.568, 0.413, 0.420], [0.432, 0.587, 0.580], [0.068, 0.587, 0.080], [0.932, 0.413, 0.920], [0.415, 0.888, 0.433], [0.585, 0.112, 0.567], [0.915, 0.112, 0.067], [0.085, 0.888, 0.933], [0.588, 0.748, 0.005], [0.412, 0.252, 0.995], [0.088, 0.252, 0.495], [0.912, 0.748, 0.505], [0.927, 0.857, 0.213], [0.073, 0.143, 0.787], [0.427, 0.143, 0.287], [0.573, 0.857, 0.713], [0.434, 0.965, 0.147], [0.566, 0.035, 0.853], [0.934, 0.035, 0.353], [0.066, 0.965, 0.647], [0.582, 0.454, 0.147], [0.418, 0.546, 0.853], [0.082, 0.546, 0.353], [0.918, 0.454, 0.647]], "corrected_energy_ev_per_atom": -4.27, "magnetic_moment_mub_per_cell": 0.0, "e_form_ev_per_atom": -0.708}

Entry 7:
{"formula": "CoPd", "functional": "GGA-PBE", "state": "optimized geometry", "lattice": [[-0.222, 3.565, -2.845], [-1.375, 1.479, -4.096], [-2.753, 2.868, -2.247]], "species": ["Co", "Pd"], "frac_coords": [[0.000, 0.000, 0.000], [0.500, 0.500, 0.500]], "magnetic_moment_mub_per_cell": 2.1, "e_form_ev_per_atom": 0.097}

Entry 8:
{"formula": "MnNbAs", "functional": "GGA-PBE", "state": "optimized geometry", "lattice": [[0.000, 2.985, 2.985], [2.985, 0.000, 2.985], [2.985, 2.985, 0.000]], "species": ["Mn", "Nb", "As"], "frac_coords": [[0.000, 0.000, 0.000], [0.750, 0.750, 0.750], [0.500, 0.500, 0.500]], "magnetic_moment_mub_per_cell": 2.1, "e_form_ev_per_atom": 0.322}

Entry 9:
{"formula": "Na2In2GeSe6", "functional": "GGA-PBE", "state": "optimized geometry", "lattice": [[6.146, 4.151, -2.090], [6.146, -4.151, -2.090], [0.007, 0.000, -13.069]], "species": ["Na", "Na", "Na", "Na", "In", "In", "In", "In", "Ge", "Ge", "Se", "Se", "Se", "Se", "Se", "Se", "Se", "Se", "Se", "Se", "Se", "Se"], "frac_coords": [[0.185, 0.334, 0.009], [0.334, 0.185, 0.509], [0.359, 0.726, 0.169], [0.726, 0.359, 0.669], [0.845, 0.977, 0.012], [0.977, 0.845, 0.512], [0.651, 0.804, 0.817], [0.804, 0.651, 0.317], [0.196, 0.748, 0.762], [0.748, 0.196, 0.262], [0.045, 0.055, 0.817], [0.055, 0.045, 0.317], [0.790, 0.302, 0.071], [0.302, 0.790, 0.571], [0.042, 0.654, 0.131], [0.654, 0.042, 0.631], [0.522, 0.968, 0.988], [0.968, 0.522, 0.488], [0.472, 0.558, 0.849], [0.558, 0.472, 0.349], [0.012, 0.545, 0.808], [0.545, 0.012, 0.308]], "corrected_energy_ev_per_atom": -4.01, "magnetic_moment_mub_per_cell": 0.0, "e_form_ev_per_atom": -0.943}

Entry 10:
{"formula": "Na2ScInSiS2O12", "functional": "GGA-PBE", "state": "optimized geometry", "lattice": [[9.041, 0.008, 0.005], [-4.513, 7.819, -0.033], [0.015, -0.091, 23.015]], "species": ["Na", "Na", "Na", "Na", "Na", "Na", "Na", "Na", "Na", "Na", "Na", "Na", "Sc", "Sc", "Sc", "Sc", "Sc", "Sc", "In", "In", "In", "In", "In", "In", "Si", "Si", "Si", "Si", "Si", "Si", "S", "S", "S", "S", "S", "S", "S", "S", "S", "S", "S", "S", "O", "O", "O", "O", "O", "O", "O", "O", "O", "O", "O", "O", "O", "O", "O", "O", "O", "O", "O", "O", "O", "O", "O", "O", "O", "O", "O", "O", "O", "O", "O", "O", "O", "O", "O", "O", "O", "O", "O", "O", "O", "O", "O", "O", "O", "O", "O", "O", "O", "O", "O", "O", "O", "O", "O", "O", "O", "O", "O", "O", "O", "O", "O", "O", "O", "O", "O", "O", "O", "O", "O", "O"], "frac_coords": [[0.001, 0.628, 0.251], [0.375, 0.998, 0.751], [0.661, 0.970, 0.592], [0.031, 0.338, 0.092], [0.982, 0.677, 0.925], [0.322, 0.015, 0.424], [0.013, 0.985, 0.501], [0.013, 0.987, 0.001], [0.660, 0.306, 0.835], [0.691, 0.340, 0.335], [0.334, 0.663, 0.167], [0.337, 0.669, 0.666], [0.993, 0.004, 0.351], [0.004, 0.998, 0.648], [0.664, 0.319, 0.685], [0.679, 0.336, 0.186], [0.669, 0.339, 0.482], [0.312, 0.648, 0.316], [0.999, 0.007, 0.849], [0.002, 0.994, 0.151], [0.659, 0.330, 0.983], [0.327, 0.683, 0.018], [0.319, 0.672, 0.517], [0.354, 0.685, 0.816], [0.000, 0.292, 0.247], [0.709, 0.000, 0.747], [0.369, 0.039, 0.581], [0.961, 0.631, 0.083], [0.332, 0.973, 0.913], [0.028, 0.666, 0.414], [0.300, 0.001, 0.252], [0.701, 0.705, 0.251], [0.296, 0.298, 0.749], [0.996, 0.700, 0.750], [0.960, 0.333, 0.583], [0.665, 0.625, 0.584], [0.666, 0.038, 0.084], [0.372, 0.336, 0.084], [0.627, 0.665, 0.918], [0.044, 0.375, 0.917], [0.627, 0.958, 0.417], [0.334, 0.373, 0.417], [0.217, 0.024, 0.305], [0.818, 0.786, 0.301], [0.980, 0.171, 0.302], [0.229, 0.191, 0.802], [0.973, 0.770, 0.806], [0.818, 0.026, 0.806], [0.802, 0.983, 0.688], [0.188, 0.211, 0.698], [0.027, 0.821, 0.701], [0.773, 0.804, 0.197], [0.025, 0.214, 0.186], [0.186, 0.959, 0.201], [0.881, 0.359, 0.636], [0.492, 0.134, 0.639], [0.650, 0.526, 0.636], [0.864, 0.508, 0.139], [0.643, 0.122, 0.136], [0.473, 0.348, 0.136], [0.444, 0.309, 0.030], [0.857, 0.545, 0.022], [0.688, 0.137, 0.031], [0.464, 0.150, 0.523], [0.689, 0.545, 0.531], [0.856, 0.313, 0.531], [0.541, 0.680, 0.971], [0.141, 0.448, 0.972], [0.287, 0.843, 0.968], [0.561, 0.861, 0.472], [0.312, 0.452, 0.471], [0.161, 0.719, 0.469], [0.119, 0.639, 0.356], [0.514, 0.867, 0.367], [0.357, 0.479, 0.366], [0.133, 0.482, 0.866], [0.357, 0.894, 0.852], [0.525, 0.637, 0.865], [0.020, 0.844, 0.407], [0.801, 0.985, 0.410], [0.181, 0.199, 0.411], [0.018, 0.201, 0.913], [0.151, 0.978, 0.910], [0.798, 0.822, 0.915], [0.966, 0.171, 0.587], [0.179, 0.016, 0.589], [0.817, 0.802, 0.587], [0.985, 0.823, 0.088], [0.826, 0.029, 0.088], [0.194, 0.188, 0.087], [0.677, 0.167, 0.744], [0.470, 0.321, 0.742], [0.843, 0.533, 0.740], [0.687, 0.532, 0.245], [0.832, 0.321, 0.245], [0.466, 0.157, 0.244], [0.656, 0.517, 0.920], [0.876, 0.370, 0.919], [0.504, 0.160, 0.921], [0.634, 0.127, 0.421], [0.485, 0.349, 0.421], [0.842, 0.495, 0.423], [0.360, 0.495, 0.080], [0.145, 0.632, 0.083], [0.516, 0.863, 0.081], [0.369, 0.854, 0.581], [0.510, 0.643, 0.578], [0.136, 0.481, 0.580], [0.322, 0.849, 0.259], [0.532, 0.687, 0.260], [0.168, 0.488, 0.253], [0.305, 0.466, 0.756], [0.152, 0.683, 0.752], [0.514, 0.829, 0.748]], "corrected_energy_ev_per_atom": -6.93, "magnetic_moment_mub_per_cell": 0.0, "e_form_ev_per_atom": -2.466}

Entry 11:
{"formula": "K2CaS2O9", "functional": "GGA-PBE", "state": "optimized geometry", "lattice": [[6.024, 0.000, -1.686], [0.000, 7.128, 0.000], [-0.103, 0.000, 10.105]], "species": ["K", "K", "K", "K", "Ca", "Ca", "S", "S", "S", "S", "O", "O", "O", "O", "O", "O", "O", "O", "O", "O", "O", "O", "O", "O", "O", "O", "O", "O"], "frac_coords": [[0.193, 0.006, 0.841], [0.807, 0.994, 0.159], [0.807, 0.506, 0.159], [0.193, 0.494, 0.841], [0.342, 0.250, 0.459], [0.658, 0.750, 0.541], [0.849, 0.250, 0.494], [0.151, 0.750, 0.506], [0.272, 0.250, 0.140], [0.728, 0.750, 0.860], [0.040, 0.250, 0.621], [0.960, 0.750, 0.379], [0.296, 0.582, 0.512], [0.704, 0.418, 0.488], [0.704, 0.082, 0.488], [0.296, 0.918, 0.512], [0.476, 0.250, 0.718], [0.524, 0.750, 0.282], [0.052, 0.250, 0.033], [0.948, 0.750, 0.967], [0.941, 0.250, 0.372], [0.059, 0.750, 0.628], [0.289, 0.081, 0.232], [0.711, 0.919, 0.768], [0.711, 0.581, 0.768], [0.289, 0.419, 0.232], [0.453, 0.250, 0.071], [0.547, 0.750, 0.929]], "corrected_energy_ev_per_atom": -6.21, "magnetic_moment_mub_per_cell": 4.0, "e_form_ev_per_atom": -2.132}

Entry 12:
{"formula": "TmGaNi", "functional": "GGA-PBE", "state": "optimized geometry", "lattice": [[-2.689, -3.308, -0.345], [4.992, -3.795, -2.515], [1.755, -2.123, 6.687]], "species": ["Tm", "Tm", "Tm", "Tm", "Ga", "Ga", "Ga", "Ga", "Ni", "Ni", "Ni", "Ni"], "frac_coords": [[0.250, 0.018, 0.802], [0.250, 0.518, 0.698], [0.750, 0.982, 0.198], [0.750, 0.482, 0.302], [0.250, 0.182, 0.420], [0.250, 0.682, 0.080], [0.750, 0.818, 0.580], [0.750, 0.318, 0.920], [0.250, 0.793, 0.408], [0.250, 0.293, 0.092], [0.750, 0.207, 0.592], [0.750, 0.707, 0.908]], "e_form_ev_per_atom": -0.666}

Q: Number 7 is which compound?
A: CoPd

Repeat the second record exactly.
{"formula": "Rb2TaCuSe4", "functional": "GGA-PBE", "state": "optimized geometry", "lattice": [[10.514, -9.943, -0.759], [3.737, -12.194, 2.157], [3.644, -0.768, -6.755]], "species": ["Rb", "Rb", "Rb", "Rb", "Ta", "Ta", "Cu", "Cu", "Se", "Se", "Se", "Se", "Se", "Se", "Se", "Se"], "frac_coords": [[0.560, 0.546, 0.196], [0.190, 0.204, 0.554], [0.450, 0.441, 0.806], [0.798, 0.806, 0.449], [0.369, 0.383, 0.381], [0.632, 0.620, 0.616], [0.875, 0.879, 0.875], [0.117, 0.132, 0.134], [0.765, 0.092, 0.178], [0.471, 0.172, 0.087], [0.176, 0.464, 0.777], [0.087, 0.776, 0.462], [0.906, 0.232, 0.544], [0.832, 0.531, 0.227], [0.543, 0.818, 0.908], [0.220, 0.921, 0.831]], "polymorph_energy_mev_per_atom": 8.4, "corrected_energy_ev_per_atom": -5.18, "magnetic_moment_mub_per_cell": 0.0, "e_form_ev_per_atom": -1.196}